(i)
Nd2NiO4 PBE with a Hubbard U relaxed; magnetization = 2.00 μB per formula unit; crystal system = tetragonal
1.0
5.576 0.000 0.000
0.000 5.576 0.000
0.000 0.000 12.142
Nd Ni O
8 4 16
direct
0.017 0.017 0.137
0.017 0.483 0.637
0.483 0.017 0.637
0.483 0.483 0.137
0.517 0.517 0.863
0.517 0.983 0.363
0.983 0.517 0.363
0.983 0.983 0.863
0.000 0.000 0.500
0.000 0.500 0.000
0.500 0.000 0.000
0.500 0.500 0.500
0.054 0.054 0.680
0.054 0.446 0.180
0.250 0.250 0.470
0.250 0.250 0.970
0.250 0.750 0.000
0.250 0.750 0.500
0.446 0.054 0.180
0.446 0.446 0.680
0.554 0.554 0.320
0.554 0.946 0.820
0.750 0.250 0.000
0.750 0.250 0.500
0.750 0.750 0.030
0.750 0.750 0.530
0.946 0.554 0.820
0.946 0.946 0.320

(ii)
Nd2NiO4 PBE with a Hubbard U relaxed; crystal system = orthorhombic
1.0
-1.980 2.033 6.096
1.980 -2.033 6.096
1.980 2.033 -6.096
Nd Ni O
2 1 4
direct
0.150 0.150 0.000
0.850 0.850 0.000
0.500 0.500 0.000
0.000 0.500 0.500
0.252 0.752 0.500
0.500 0.000 0.500
0.748 0.248 0.500

What should be chosen as the least stable of them? Choose (ii).

(i)
LiCoSi2O6 PBE with a Hubbard U relaxed; magnetization = 4.00 μB per formula unit; crystal system = monoclinic
1.0
3.702 -3.654 0.000
3.702 3.654 0.000
-3.550 0.000 9.783
Li Co Si O
2 2 4 12
direct
0.102 0.898 0.500
0.898 0.102 0.000
0.719 0.983 0.675
0.983 0.719 0.175
0.160 0.304 0.332
0.304 0.160 0.832
0.405 0.750 0.005
0.750 0.405 0.505
0.044 0.365 0.182
0.111 0.793 0.034
0.132 0.991 0.331
0.365 0.044 0.682
0.415 0.469 0.894
0.469 0.415 0.394
0.483 0.993 0.939
0.628 0.763 0.146
0.763 0.628 0.646
0.793 0.111 0.534
0.991 0.132 0.831
0.993 0.483 0.439

(ii)
LiCoSi2O6 PBE with a Hubbard U relaxed; magnetization = 4.00 μB per formula unit; crystal system = monoclinic
1.0
4.877 -4.351 0.000
4.877 4.351 0.000
-1.843 0.000 5.012
Li Co Si O
2 2 4 12
direct
0.241 0.759 0.750
0.759 0.241 0.250
0.400 0.600 0.250
0.600 0.400 0.750
0.115 0.294 0.735
0.294 0.115 0.235
0.706 0.885 0.765
0.885 0.706 0.265
0.129 0.612 0.328
0.141 0.148 0.443
0.148 0.141 0.943
0.297 0.471 0.849
0.388 0.871 0.172
0.471 0.297 0.349
0.529 0.703 0.651
0.612 0.129 0.828
0.703 0.529 0.151
0.852 0.859 0.057
0.859 0.852 0.557
0.871 0.388 0.672

What should be chosen as the least stable of them? Choose (ii).